Material: RbSrB3H12
Method: DFT, PBE-GGA
State: optimized geometry

Values from the calculation:
space group: Pna2_1
E_form: -481 meV per atom
magnetic moment: 0.00 μB/f.u.
corrected total energy (MP2020 scheme): -4.21 eV per atom

a = 8.4554 Å, b = 8.6905 Å, c = 12.3458 Å
α = 90.00°, β = 90.00°, γ = 90.00°
Closest atoms and distances in Å follow each position.
Element x y z (fractional)
Rb 0.0434 0.0319 0.0000  4 H 2.81-3.11
Rb 0.4566 0.5319 0.5000  4 H 2.81-3.11
Rb 0.5434 0.4681 0.0000  4 H 2.81-3.11
Rb 0.9566 0.9681 0.5000  4 H 2.81-3.11
Sr 0.0044 0.5202 0.2267  10 H 2.41-2.68
Sr 0.4956 0.0202 0.7267  10 H 2.41-2.68
Sr 0.5044 0.9798 0.2267  10 H 2.41-2.68
Sr 0.9956 0.4798 0.7267  10 H 2.41-2.68
B 0.0692 0.4807 0.4491  4 H 1.22-1.23
B 0.1914 0.1981 0.7166  4 H 1.22-1.23
B 0.2285 0.7117 0.6956  4 H 1.22-1.24
B 0.2715 0.2117 0.1956  4 H 1.22-1.24
B 0.3086 0.6981 0.2166  4 H 1.22-1.23
B 0.4308 0.9807 0.9491  4 H 1.22-1.23
B 0.5692 0.0193 0.4491  4 H 1.22-1.23
B 0.6914 0.3019 0.7166  4 H 1.22-1.23
B 0.7285 0.7883 0.6956  4 H 1.22-1.24
B 0.7715 0.2883 0.1956  4 H 1.22-1.24
B 0.8086 0.8019 0.2166  4 H 1.22-1.23
B 0.9308 0.5193 0.9491  4 H 1.22-1.23
H 0.0753 0.5176 0.9353  1 B 1.23
H 0.0952 0.2279 0.6452  1 B 1.23
H 0.1040 0.4246 0.5362  1 B 1.22
H 0.1217 0.6120 0.4399  1 B 1.23
H 0.1319 0.3966 0.3816  1 B 1.23
H 0.1479 0.2822 0.2049  1 B 1.22
H 0.1485 0.7255 0.7780  1 B 1.23
H 0.1535 0.7534 0.6163  1 B 1.22
H 0.1561 0.2607 0.8028  1 B 1.23
H 0.1798 0.7495 0.1875  1 B 1.23
H 0.1926 0.0589 0.7307  1 B 1.22
H 0.2332 0.0754 0.1844  1 B 1.24
H 0.2668 0.5754 0.6844  1 B 1.24
H 0.3074 0.5589 0.2307  1 B 1.22
H 0.3202 0.2495 0.6875  1 B 1.23
H 0.3439 0.7607 0.3028  1 B 1.23
H 0.3465 0.2534 0.1163  1 B 1.22
H 0.3515 0.2255 0.2780  1 B 1.23
H 0.3521 0.7822 0.7049  1 B 1.22
H 0.3681 0.8966 0.8816  1 B 1.23
H 0.3783 0.1120 0.9399  1 B 1.23
H 0.3960 0.9246 0.0362  1 B 1.22
H 0.4048 0.7279 0.1452  1 B 1.23
H 0.4247 0.0176 0.4353  1 B 1.23
H 0.5753 0.9824 0.9353  1 B 1.23
H 0.5952 0.2721 0.6452  1 B 1.23
H 0.6040 0.0754 0.5362  1 B 1.22
H 0.6217 0.8880 0.4399  1 B 1.23
H 0.6319 0.1034 0.3816  1 B 1.23
H 0.6479 0.2178 0.2049  1 B 1.22
H 0.6485 0.7745 0.7780  1 B 1.23
H 0.6535 0.7466 0.6163  1 B 1.22
H 0.6561 0.2393 0.8028  1 B 1.23
H 0.6798 0.7505 0.1875  1 B 1.23
H 0.6926 0.4411 0.7307  1 B 1.22
H 0.7332 0.4246 0.1844  1 B 1.24
H 0.7668 0.9246 0.6844  1 B 1.24
H 0.8074 0.9411 0.2307  1 B 1.22
H 0.8202 0.2505 0.6875  1 B 1.23
H 0.8439 0.7393 0.3028  1 B 1.23
H 0.8465 0.2466 0.1163  1 B 1.22
H 0.8515 0.2745 0.2780  1 B 1.23
H 0.8521 0.7178 0.7049  1 B 1.22
H 0.8681 0.6034 0.8816  1 B 1.23
H 0.8783 0.3880 0.9399  1 B 1.23
H 0.8960 0.5754 0.0362  1 B 1.22
H 0.9048 0.7721 0.1452  1 B 1.23
H 0.9247 0.4824 0.4353  1 B 1.23